DFT (r²SCAN) results for a relaxed structure of Zr5Zn39.

Output
Magnetization in μB/f.u.: 0.00
Mass density in g/cm³: 7.55
ΔE_f in kJ per mole of atoms: -18.75
Final energy in Ry per atom: -0.7848
Calculated volume in Å³/f.u.: 661.75

a b c (Å): 17.6428 8.4928 12.3682
angles (deg): 90.00 134.42 90.00
Last column: nearest neighbours and their distance in Å.
Space group C2/m (No. 12)
Symmetry-distinct sites (fractional):
Zr  0.0000  0.0000  0.0000  20 Zn 3.11-3.41
Zr  0.0719  0.5000  0.7902  16 Zn 2.87-3.11
Zr  0.2286  0.0000  0.6535  16 Zn 2.88-3.04
Zn  0.0000  0.0000  0.5000  8 Zn 2.71-2.77, 2 Zr 3.03
Zn  0.0575  0.1534  0.8370  9 Zn 2.55-2.85
Zn  0.0725  0.3380  0.1994  7 Zn 2.55-2.81
Zn  0.0755  0.2380  0.4430  8 Zn 2.58-2.79, 1 Zr 2.88
Zn  0.0957  0.5000  0.5790  8 Zn 2.45-2.74
Zn  0.1211  0.0000  0.3400  9 Zn 2.60-2.81, 1 Zr 2.89
Zn  0.1227  0.3418  0.0490  7 Zn 2.55-2.82
Zn  0.1271  0.2328  0.7026  8 Zn 2.51-2.75
Zn  0.1557  0.5000  0.4414  7 Zn 2.47-2.64
Zn  0.2148  0.0000  0.0913  7 Zn 2.57-2.70
Zn  0.2175  0.1544  0.2726  8 Zn 2.55-2.74
Zn  0.2196  0.0000  0.8780  7 Zn 2.44-2.70
Zn  0.2500  0.2500  0.0000  8 Zn 2.44-2.67
Zn  0.2500  0.2500  0.5000  8 Zn 2.47-2.70